# 1
Density functional theory data (PBE) for crystalline K3HoSi3O9 at its relaxed geometry.

Cell: 14.0747 5.8857 12.9881 Å, 90.00 90.00 90.00°
Closest atoms and distances in Å follow each position.
Positions (direct):
K 0.0000 0.1692 0.0000  8 O 3.13-3.34, 1 K 3.35
K 0.0000 0.2479 0.2558  3 O 2.79-2.80
K 0.0000 0.8145 0.7145  6 O 2.81-2.95
K 0.0000 0.8223 0.4623  6 O 2.77-2.95
K 0.2193 0.3416 0.7745  4 O 2.67-2.93
K 0.2807 0.6584 0.2745  4 O 2.67-2.93
K 0.5000 0.1777 0.9623  6 O 2.77-2.95
K 0.5000 0.1855 0.2145  6 O 2.81-2.95
K 0.5000 0.7521 0.7558  3 O 2.79-2.80
K 0.5000 0.8308 0.5000  8 O 3.13-3.34, 1 K 3.35
K 0.7193 0.6584 0.2745  4 O 2.67-2.93
K 0.7807 0.3416 0.7745  4 O 2.67-2.93
Ho 0.2397 0.8357 0.6107  6 O 2.23-2.29
Ho 0.2603 0.1643 0.1107  6 O 2.23-2.29
Ho 0.7397 0.1643 0.1107  6 O 2.23-2.29
Ho 0.7603 0.8357 0.6107  6 O 2.23-2.29
Si 0.1099 0.3217 0.5208  4 O 1.62-1.69
Si 0.1163 0.6688 0.0884  4 O 1.62-1.67
Si 0.2194 0.8369 0.8976  4 O 1.62-1.68
Si 0.2806 0.1631 0.3976  4 O 1.62-1.68
Si 0.3837 0.3312 0.5884  4 O 1.62-1.67
Si 0.3901 0.6783 0.0208  4 O 1.62-1.69
Si 0.6099 0.6783 0.0208  4 O 1.62-1.69
Si 0.6163 0.3312 0.5884  4 O 1.62-1.67
Si 0.7194 0.1631 0.3976  4 O 1.62-1.68
Si 0.7806 0.8369 0.8976  4 O 1.62-1.68
Si 0.8837 0.6688 0.0884  4 O 1.62-1.67
Si 0.8901 0.3217 0.5208  4 O 1.62-1.69
O 0.0000 0.3234 0.4681  2 Si 1.69
O 0.0000 0.6746 0.0893  2 Si 1.64
O 0.1218 0.1012 0.5943  1 Si 1.62
O 0.1282 0.5662 0.5748  1 Si 1.62
O 0.1417 0.6761 0.9626  2 Si 1.67
O 0.1480 0.4262 0.1367  1 Si 1.62
O 0.1542 0.8911 0.1493  1 Si 1.62
O 0.1743 0.2890 0.4132  2 Si 1.68
O 0.1911 0.8222 0.7771  1 Si 1.62
O 0.2190 0.0913 0.9458  1 Si 1.62
O 0.2810 0.9087 0.4458  1 Si 1.62
O 0.3089 0.1778 0.2771  1 Si 1.62
O 0.3257 0.7110 0.9132  2 Si 1.68
O 0.3458 0.1089 0.6493  1 Si 1.62
O 0.3520 0.5738 0.6367  1 Si 1.62
O 0.3583 0.3239 0.4626  2 Si 1.67
O 0.3718 0.4338 0.0748  1 Si 1.62
O 0.3782 0.8988 0.0943  1 Si 1.62
O 0.5000 0.3254 0.5893  2 Si 1.64
O 0.5000 0.6766 0.9681  2 Si 1.69
O 0.6218 0.8988 0.0943  1 Si 1.62
O 0.6282 0.4338 0.0748  1 Si 1.62
O 0.6417 0.3239 0.4626  2 Si 1.67
O 0.6480 0.5738 0.6367  1 Si 1.62
O 0.6542 0.1089 0.6493  1 Si 1.62
O 0.6743 0.7110 0.9132  2 Si 1.68
O 0.6911 0.1778 0.2771  1 Si 1.62
O 0.7190 0.9087 0.4458  1 Si 1.62
O 0.7810 0.0913 0.9458  1 Si 1.62
O 0.8089 0.8222 0.7771  1 Si 1.62
O 0.8257 0.2890 0.4132  2 Si 1.68
O 0.8458 0.8911 0.1493  1 Si 1.62
O 0.8520 0.4262 0.1367  1 Si 1.62
O 0.8583 0.6761 0.9626  2 Si 1.67
O 0.8718 0.5662 0.5748  1 Si 1.62
O 0.8782 0.1012 0.5943  1 Si 1.62

distance to the lowest polymorph of the same formula	0.000	eV per atom
final energy	-7.030	eV/atom
SG	Pmn2_1 (31)
crystal system	orthorhombic
calculated formation energy	-3122	meV per atom


# 2
Density functional theory data (PBE) for crystalline Rb2ScSi4O10F at its relaxed geometry.

Cell: 9.1213 9.1213 9.1213 Å, 102.39 102.39 124.82°
Closest atoms and distances in Å follow each position.
Positions (direct):
Rb 0.1884 0.8075 0.9959  7 O 2.98-3.08, 1 F 3.08
Rb 0.1925 0.1884 0.3809  7 O 2.98-3.08, 1 F 3.08
Rb 0.8075 0.8116 0.6191  7 O 2.98-3.08, 1 F 3.08
Rb 0.8116 0.1925 0.0041  7 O 2.98-3.08, 1 F 3.08
Sc 0.2574 0.2574 0.0000  2 F 2.05-2.17, 4 O 2.10
Sc 0.7426 0.7426 0.0000  2 F 2.05-2.17, 4 O 2.10
Si 0.0037 0.6823 0.3054  4 O 1.59-1.66
Si 0.3017 0.9963 0.6786  4 O 1.59-1.66
Si 0.3177 0.6231 0.3214  4 O 1.59-1.66
Si 0.3769 0.6983 0.6946  4 O 1.59-1.66
Si 0.6231 0.3017 0.3054  4 O 1.59-1.66
Si 0.6823 0.3769 0.6786  4 O 1.59-1.66
Si 0.6983 0.0037 0.3214  4 O 1.59-1.66
Si 0.9963 0.3177 0.6946  4 O 1.59-1.66
O 0.0583 0.2426 0.8169  1 Si 1.59
O 0.1042 0.8350 0.5002  2 Si 1.65-1.66
O 0.1650 0.6652 0.2691  2 Si 1.65-1.66
O 0.1800 0.5379 0.7180  2 Si 1.65
O 0.2414 0.0583 0.8157  1 Si 1.59
O 0.2426 0.4257 0.1843  1 Si 1.59
O 0.3348 0.6040 0.4998  2 Si 1.65-1.66
O 0.3960 0.8958 0.7309  2 Si 1.65-1.66
O 0.4257 0.2414 0.1831  1 Si 1.59
O 0.4621 0.1800 0.6421  2 Si 1.65
O 0.5379 0.8200 0.3579  2 Si 1.65
O 0.5743 0.7586 0.8169  1 Si 1.59
O 0.6040 0.1042 0.2691  2 Si 1.65-1.66
O 0.6652 0.3960 0.5002  2 Si 1.65-1.66
O 0.7574 0.5743 0.8157  1 Si 1.59
O 0.7586 0.9417 0.1843  1 Si 1.59
O 0.8200 0.4621 0.2820  2 Si 1.65
O 0.8350 0.3348 0.7309  2 Si 1.65-1.66
O 0.8958 0.1650 0.4998  2 Si 1.65-1.66
O 0.9417 0.7574 0.1831  1 Si 1.59
F 0.0000 0.0000 0.0000  2 Sc 2.17
F 0.5000 0.5000 0.0000  2 Sc 2.05

distance to the lowest polymorph of the same formula	0.004	eV per atom
final energy	-7.398	eV/atom
SG	I4/m (87)
crystal system	tetragonal
calculated formation energy	-3284	meV per atom